Entry 1:
The following is a DFT calculation (r²SCAN) of a relaxed CsFeBr4 crystal.

Lattice parameters (Å, degrees): 7.524 10.027 12.390 90.00 90.00 90.00
Atoms (fractional coordinates):
Br (0.250, 0.034, 0.202)
Fe (0.750, 0.692, 0.437)
Br (0.001, 0.671, 0.916)
Cs (0.750, 0.158, 0.318)
Br (0.250, 0.100, 0.891)
Br (0.999, 0.329, 0.084)
Br (0.001, 0.829, 0.416)
Br (0.750, 0.966, 0.798)
Br (0.499, 0.671, 0.916)
Br (0.501, 0.171, 0.584)
Br (0.250, 0.400, 0.391)
Br (0.750, 0.600, 0.609)
Cs (0.750, 0.342, 0.818)
Br (0.501, 0.329, 0.084)
Br (0.750, 0.900, 0.109)
Cs (0.250, 0.842, 0.682)
Br (0.750, 0.534, 0.298)
Fe (0.250, 0.308, 0.563)
Br (0.250, 0.466, 0.702)
Fe (0.250, 0.192, 0.063)
Br (0.999, 0.171, 0.584)
Fe (0.750, 0.808, 0.937)
Cs (0.250, 0.658, 0.182)
Br (0.499, 0.829, 0.416)

Summary:
DFT formation energy, eV/atom: -1.241
Magnetization, μB per cell: 20.00
Symmetry: No. 62


Entry 2:
The following is a DFT calculation (r²SCAN) of a relaxed CsGaBr4 crystal.

Lattice parameters (Å, degrees): 7.571 10.036 12.281 90.00 90.00 90.00
Atoms (fractional coordinates):
Br (0.750, 0.421, 0.094)
Br (0.998, 0.168, 0.917)
Ga (0.750, 0.192, 0.429)
Cs (0.750, 0.829, 0.819)
Br (0.750, 0.050, 0.279)
Br (0.002, 0.668, 0.583)
Ga (0.250, 0.692, 0.071)
Br (0.750, 0.079, 0.594)
Cs (0.250, 0.329, 0.681)
Cs (0.750, 0.671, 0.319)
Br (0.250, 0.550, 0.221)
Br (0.502, 0.332, 0.417)
Br (0.498, 0.668, 0.583)
Br (0.750, 0.450, 0.779)
Br (0.002, 0.832, 0.083)
Ga (0.250, 0.808, 0.571)
Br (0.250, 0.921, 0.406)
Br (0.250, 0.579, 0.906)
Cs (0.250, 0.171, 0.181)
Br (0.998, 0.332, 0.417)
Br (0.498, 0.832, 0.083)
Br (0.250, 0.950, 0.721)
Ga (0.750, 0.308, 0.929)
Br (0.502, 0.168, 0.917)

Summary:
DFT formation energy, eV/atom: -1.422
Magnetization, μB per cell: 0.00
Symmetry: No. 62


Entry 3:
The following is a DFT calculation (r²SCAN) of a relaxed CsGeBr3 crystal.

Lattice parameters (Å, degrees): 5.668 5.668 5.668 88.90 88.90 88.90
Atoms (fractional coordinates):
Br (0.505, 0.029, 0.505)
Ge (0.477, 0.477, 0.477)
Cs (0.001, 0.001, 0.001)
Br (0.029, 0.505, 0.505)
Br (0.505, 0.505, 0.029)

Summary:
DFT formation energy, eV/atom: -1.242
Magnetization, μB per cell: 0.00
Symmetry: No. 160


Entry 4:
The following is a DFT calculation (r²SCAN) of a relaxed CsGeBr3 crystal.

Lattice parameters (Å, degrees): 5.533 5.533 5.533 90.00 90.00 90.00
Atoms (fractional coordinates):
Br (0.500, 0.000, 0.500)
Br (0.500, 0.500, 0.000)
Br (0.000, 0.500, 0.500)
Cs (0.000, 0.000, 0.000)
Ge (0.500, 0.500, 0.500)

Summary:
DFT formation energy, eV/atom: -1.225
Magnetization, μB per cell: 0.00
Symmetry: No. 221


Entry 5:
The following is a DFT calculation (r²SCAN) of a relaxed CsHf2Br9 crystal.

Lattice parameters (Å, degrees): 6.882 10.176 13.248 66.70 90.00 90.00
Atoms (fractional coordinates):
Br (0.574, 0.707, 0.943)
Cs (0.409, 0.500, 0.250)
Br (0.106, 0.613, 0.844)
Br (0.426, 0.707, 0.443)
Br (0.100, 0.206, 0.456)
Br (0.406, 0.085, 0.843)
Br (0.100, 0.794, 0.044)
Hf (0.255, 0.175, 0.633)
Br (0.037, 0.000, 0.250)
Br (0.594, 0.915, 0.157)
Cs (0.591, 0.500, 0.750)
Br (0.426, 0.293, 0.057)
Br (0.900, 0.794, 0.544)
Hf (0.745, 0.175, 0.133)
Br (0.963, 0.000, 0.750)
Hf (0.255, 0.825, 0.867)
Hf (0.745, 0.825, 0.367)
Br (0.406, 0.915, 0.657)
Br (0.894, 0.387, 0.156)
Br (0.894, 0.613, 0.344)
Br (0.574, 0.293, 0.557)
Br (0.106, 0.387, 0.656)
Br (0.900, 0.206, 0.956)
Br (0.594, 0.085, 0.343)

Summary:
DFT formation energy, eV/atom: -1.732
Magnetization, μB per cell: 0.00
Symmetry: No. 13


Entry 6:
The following is a DFT calculation (r²SCAN) of a relaxed CsHgBr3 crystal.

Lattice parameters (Å, degrees): 12.631 12.631 14.509 56.78 56.78 37.31
Atoms (fractional coordinates):
Br (0.407, 0.440, 0.433)
Br (0.062, 0.107, 0.041)
Cs (0.000, 0.500, 0.500)
Br (0.000, 0.500, 0.000)
Cs (0.638, 0.184, 0.181)
Br (0.938, 0.893, 0.959)
Hg (0.577, 0.095, 0.578)
Br (0.323, 0.188, 0.752)
Br (0.560, 0.593, 0.067)
Hg (0.095, 0.577, 0.078)
Hg (0.905, 0.423, 0.922)
Hg (0.249, 0.751, 0.250)
Br (0.110, 0.710, 0.214)
Br (0.440, 0.407, 0.933)
Br (0.290, 0.890, 0.286)
Cs (0.362, 0.816, 0.819)
Br (0.593, 0.560, 0.567)
Cs (0.816, 0.362, 0.319)
Hg (0.751, 0.249, 0.750)
Cs (0.500, 0.000, 0.000)
Br (0.893, 0.938, 0.459)
Br (0.710, 0.110, 0.714)
Cs (0.184, 0.638, 0.681)
Br (0.107, 0.062, 0.541)
Br (0.677, 0.812, 0.248)
Br (0.890, 0.290, 0.786)
Hg (0.423, 0.905, 0.422)
Br (0.500, 0.000, 0.500)
Br (0.812, 0.677, 0.748)
Br (0.188, 0.323, 0.252)

Summary:
DFT formation energy, eV/atom: -1.181
Magnetization, μB per cell: 0.00
Symmetry: No. 15


Entry 7:
The following is a DFT calculation (r²SCAN) of a relaxed Cs2HgBr4 crystal.

Lattice parameters (Å, degrees): 10.393 7.916 16.173 60.85 90.00 90.00
Atoms (fractional coordinates):
Cs (0.986, 0.406, 0.329)
Br (0.824, 0.592, 0.867)
Hg (0.721, 0.821, 0.925)
Br (0.828, 0.698, 0.094)
Br (0.176, 0.408, 0.133)
Hg (0.279, 0.179, 0.075)
Hg (0.221, 0.179, 0.575)
Cs (0.486, 0.594, 0.171)
Br (0.312, 0.829, 0.689)
Br (0.530, 0.153, 0.089)
Br (0.030, 0.847, 0.411)
Hg (0.779, 0.821, 0.425)
Br (0.676, 0.592, 0.367)
Br (0.688, 0.171, 0.311)
Br (0.970, 0.153, 0.589)
Cs (0.116, 0.839, 0.898)
Cs (0.616, 0.161, 0.602)
Br (0.812, 0.171, 0.811)
Cs (0.514, 0.406, 0.829)
Cs (0.014, 0.594, 0.671)
Cs (0.884, 0.161, 0.102)
Br (0.470, 0.847, 0.911)
Br (0.324, 0.408, 0.633)
Br (0.172, 0.302, 0.906)
Br (0.188, 0.829, 0.189)
Br (0.672, 0.698, 0.594)
Cs (0.384, 0.839, 0.398)
Br (0.328, 0.302, 0.406)

Summary:
DFT formation energy, eV/atom: -1.432
Distance to the lowest polymorph of the same formula, eV/atom: 0.001
Magnetization, μB per cell: 0.00
Symmetry: No. 14


Entry 8:
The following is a DFT calculation (r²SCAN) of a relaxed CsHg2Br5 crystal.

Lattice parameters (Å, degrees): 6.377 8.551 11.190 106.06 90.00 90.00
Atoms (fractional coordinates):
Hg (0.250, 0.874, 0.567)
Br (0.750, 0.418, 0.563)
Br (0.750, 0.903, 0.564)
Br (0.750, 0.748, 0.864)
Hg (0.750, 0.126, 0.433)
Cs (0.250, 0.459, 0.743)
Cs (0.750, 0.541, 0.257)
Br (0.250, 0.252, 0.136)
Br (0.250, 0.582, 0.437)
Hg (0.250, 0.965, 0.140)
Br (0.250, 0.097, 0.436)
Br (0.750, 0.335, 0.904)
Br (0.250, 0.029, 0.799)
Br (0.750, 0.971, 0.201)
Hg (0.750, 0.035, 0.860)
Br (0.250, 0.665, 0.096)

Summary:
DFT formation energy, eV/atom: -0.949
Magnetization, μB per cell: 0.00
Symmetry: No. 11